The following is a DFT calculation (GGA-PBE) of crystalline Co5CuN4 at its relaxed geometry.

Computed properties:
SG	Pmmn, No. 59
density	6.9	Mg/m³
formation energy	0.124	eV per atom

a b c (Å): 8.503 5.613 4.167
angles (deg): 90.00 90.00 90.00
Positions (direct):
N (0.547, 0.750, 0.514)
Co (0.085, 0.978, 0.732)
N (0.453, 0.250, 0.486)
Co (0.250, 0.250, 0.291)
Co (0.585, 0.478, 0.268)
Co (0.915, 0.022, 0.268)
N (0.750, 0.516, 0.009)
Cu (0.750, 0.250, 0.719)
N (0.250, 0.484, 0.991)
N (0.047, 0.250, 0.486)
N (0.750, 0.984, 0.009)
Cu (0.250, 0.750, 0.281)
N (0.953, 0.750, 0.514)
Co (0.585, 0.022, 0.268)
N (0.250, 0.016, 0.991)
Co (0.415, 0.978, 0.732)
Co (0.750, 0.750, 0.709)
Co (0.915, 0.478, 0.268)
Co (0.415, 0.522, 0.732)
Co (0.085, 0.522, 0.732)